Model w:
Here is a relaxed Fe2Mo4O7 crystal from the Materials Project database. Energies are from PBE+U.

Properties
total magnetic moment: 36.0 μB per cell

```
26
Lattice="-3.015 3.126 8.876 3.015 -3.126 8.876 3.015 3.126 -8.876" Properties=species:S:1:pos:R:3 pbc="T T T"
Fe 1.507 1.563 -4.438
Fe 1.507 -1.563 4.438
Fe 0.000 1.563 3.463
Fe 3.015 1.563 5.412
Mo 3.015 0.012 2.142
Mo 1.589 1.563 -0.031
Mo 4.440 1.563 -0.031
Mo 0.000 0.012 6.734
Mo 3.015 3.114 2.142
Mo -1.426 1.563 8.907
Mo 1.426 1.563 8.907
Mo 0.000 3.114 6.734
O 0.000 0.000 0.000
O 1.571 1.563 -2.105
O 4.458 1.563 -2.105
O 3.015 -0.107 4.214
O 3.015 3.019 -4.214
O 1.522 1.563 2.095
O 4.508 1.563 2.095
O 0.000 3.126 0.000
O -1.493 1.563 6.781
O 1.493 1.563 6.781
O 0.000 0.107 13.090
O 0.000 3.234 4.661
O -1.443 1.563 10.980
O 1.443 1.563 10.980
```

---

Model x:
Here is a relaxed Fe2Mo4O7 crystal from the Materials Project database. Energies are from PBE+U.

Properties
total magnetic moment: 36.0 μB per cell

```
26
Lattice="9.461 -3.159 0.000 9.461 3.159 0.000 -2.023 0.000 5.902" Properties=species:S:1:pos:R:3 pbc="T T T"
Fe 4.731 1.579 0.000
Fe 2.759 0.000 2.602
Fe 4.731 -1.579 0.000
Fe 14.141 0.000 3.300
Mo 8.946 1.624 1.467
Mo 7.953 1.624 4.434
Mo 6.309 0.000 2.255
Mo 5.345 0.000 5.098
Mo 11.555 0.000 0.804
Mo 10.591 0.000 3.647
Mo 8.946 -1.624 1.467
Mo 7.953 -1.624 4.434
O 0.000 0.000 0.000
O -1.011 0.000 2.951
O 5.878 1.524 3.773
O 6.955 1.342 0.715
O 4.408 0.000 1.368
O 3.336 0.000 4.551
O 11.021 1.524 2.129
O 9.944 1.342 5.187
O 6.955 -1.342 0.715
O 5.878 -1.524 3.773
O 13.564 0.000 1.351
O 12.491 0.000 4.534
O 9.944 -1.342 5.187
O 11.021 -1.524 2.129
```

---

Which is most stable, and by how much? model x, by 5.9 kJ/mol of atoms.

---

Model w:
Here is a relaxed FeMo2O10 crystal from the Materials Project database. Energies are from PBE+U.

Properties
total magnetic moment: 12.0 μB per cell

```
26
Lattice="6.837 0.000 0.000 1.728 6.984 0.000 2.436 0.978 9.892" Properties=species:S:1:pos:R:3 pbc="T T T"
Fe 0.843 0.809 0.886
Fe 10.159 7.154 9.006
Mo 2.796 1.889 5.790
Mo 4.740 3.959 7.986
Mo 6.261 4.003 1.906
Mo 8.205 6.074 4.103
O 2.233 6.480 2.630
O 2.925 5.448 5.264
O 2.348 3.038 4.025
O 3.996 5.600 7.951
O 5.076 7.293 9.658
O 4.145 3.098 9.417
O 2.546 0.693 1.588
O 5.026 7.394 5.110
O 4.257 2.939 6.402
O 4.550 3.861 1.845
O 6.451 4.102 8.047
O 6.744 5.024 3.490
O 5.975 0.569 4.783
O 8.455 7.270 8.305
O 6.856 4.865 0.475
O 5.925 0.669 0.235
O 7.005 2.362 1.941
O 8.653 4.924 5.867
O 8.076 2.514 4.629
O 8.768 1.483 7.262
```

---

Model x:
Here is a relaxed FeMo2O10 crystal from the Materials Project database. Energies are from PBE+U.

Properties
total magnetic moment: 16.0 μB per cell

```
26
Lattice="6.461 0.000 0.000 2.172 7.763 0.000 0.066 3.391 8.757" Properties=species:S:1:pos:R:3 pbc="T T T"
Fe 1.297 3.521 3.226
Fe 7.402 7.633 5.531
Mo 2.425 9.440 8.161
Mo 1.952 4.255 6.659
Mo 6.747 6.899 2.098
Mo 6.274 1.715 0.596
O 1.363 5.947 6.065
O 0.751 2.113 2.202
O 2.370 7.085 1.113
O 1.418 3.396 5.051
O 1.730 4.790 8.536
O 2.869 7.890 8.746
O 4.004 10.108 7.456
O 4.185 8.262 4.662
O 3.654 4.382 6.504
O 3.721 3.052 3.164
O 4.979 8.102 5.593
O 5.045 6.773 2.253
O 4.514 2.892 4.095
O 4.696 1.046 1.301
O 5.830 3.264 0.011
O 6.970 6.365 0.221
O 7.281 7.759 3.706
O 6.329 4.070 7.644
O 7.948 9.041 6.555
O 7.336 5.207 2.692
```

---

Which is most stable, and by how much? model x, by 13.8 kJ/mol of atoms.

---

Model w:
Here is a relaxed Sr7PrFe4Mo4O24 crystal from the Materials Project database. Energies are from PBE+U.

Properties
total magnetic moment: 25.0 μB per cell

```
40
Lattice="5.619 0.000 0.000 2.807 4.940 0.000 0.013 2.972 18.558" Properties=species:S:1:pos:R:3 pbc="T T T"
Sr 0.000 0.000 0.000
Sr 1.043 1.739 6.872
Sr 2.122 3.483 13.840
Sr 3.201 2.230 2.319
Sr 4.247 3.982 9.407
Sr 5.286 5.693 16.247
Sr 6.325 4.436 4.550
Pr 7.384 6.204 11.638
Fe 0.518 0.878 3.457
Fe 1.605 2.634 10.505
Fe 2.678 4.334 17.377
Fe 4.755 4.811 12.706
Mo 3.698 3.103 5.776
Mo 5.807 3.578 1.124
Mo 6.859 5.348 8.174
Mo 7.917 7.049 15.063
O 1.435 4.000 9.327
O 2.437 5.672 16.198
O 2.684 4.469 7.235
O 1.200 3.012 15.987
O 1.939 2.137 4.817
O 3.218 5.754 13.630
O 3.555 4.451 4.631
O 4.537 6.184 11.589
O 4.849 4.805 2.414
O 4.007 2.648 0.154
O 3.474 3.381 11.401
O 5.382 6.223 9.041
O 2.784 2.965 18.507
O 3.906 1.787 7.015
O 4.134 3.396 16.412
O 5.507 4.044 6.764
O 6.190 6.171 14.109
O 4.675 1.752 4.391
O 4.969 3.427 13.845
O 6.031 2.213 2.281
O 6.345 4.067 11.788
O 7.597 4.495 2.094
O 5.381 1.684 9.603
O 6.747 5.298 18.357
```

---

Model x:
Here is a relaxed Sr7PrFe4Mo4O24 crystal from the Materials Project database. Energies are from PBE+U.

Properties
total magnetic moment: 25.0 μB per cell

```
40
Lattice="5.619 0.000 0.000 2.807 4.940 0.000 0.013 2.972 18.558" Properties=species:S:1:pos:R:3 pbc="T T T"
Sr 0.000 0.000 0.000
Sr 2.810 4.850 6.872
Sr 2.836 4.739 13.840
Sr 2.850 1.613 2.319
Sr 5.631 6.418 9.407
Sr 5.635 6.308 16.247
Sr 5.637 3.225 4.550
Pr 5.624 3.106 11.638
Fe 2.802 4.898 3.457
Fe 2.823 4.778 10.505
Fe 2.856 4.649 17.377
Fe 5.640 6.369 12.706
Mo 2.825 1.565 5.776
Mo 5.637 3.279 1.124
Mo 5.623 3.172 8.174
Mo 5.639 3.039 15.063
O 0.024 1.517 9.327
O 2.794 6.300 16.198
O 1.590 2.543 7.235
O 1.589 3.696 15.987
O 1.210 0.855 4.817
O 3.963 7.066 13.630
O 2.854 3.218 4.631
O 2.784 3.099 11.589
O 4.484 4.163 2.414
O 3.984 2.607 0.154
O 4.556 5.286 11.401
O 4.015 3.816 9.041
O 2.791 2.978 18.507
O 5.652 4.860 7.015
O 4.459 3.967 16.412
O 4.484 2.244 6.764
O 4.056 2.415 14.109
O 6.817 5.523 4.391
O 5.682 4.682 13.845
O 5.686 1.606 2.281
O 7.369 5.870 11.788
O 7.280 3.938 2.094
O 6.735 4.068 9.603
O 6.777 5.351 18.357
```

---

Which is most stable, and by how much? model x, by 31.1 kJ/mol of atoms.

---

Model w:
Here is a relaxed Sr4Fe3MoO12 crystal from the Materials Project database. Energies are from PBE+U.

Properties
total magnetic moment: 14.0 μB per cell

```
20
Lattice="5.601 0.000 0.000 0.000 5.601 0.000 0.000 0.000 7.998" Properties=species:S:1:pos:R:3 pbc="T T T"
Sr 0.000 2.800 1.869
Sr 0.000 2.800 6.129
Sr 2.800 0.000 1.869
Sr 2.800 0.000 6.129
Fe 0.000 0.000 0.000
Fe 0.000 0.000 3.999
Fe 2.800 2.800 0.000
Mo 2.800 2.800 3.999
O 0.000 0.000 2.002
O 0.000 0.000 5.996
O 1.426 1.426 0.000
O 1.426 4.175 0.000
O 1.432 1.432 3.999
O 1.432 4.169 3.999
O 2.800 2.800 2.062
O 2.800 2.800 5.936
O 4.169 1.432 3.999
O 4.169 4.169 3.999
O 4.175 1.426 0.000
O 4.175 4.175 0.000
```

---

Model x:
Here is a relaxed Sr4Fe3MoO12 crystal from the Materials Project database. Energies are from PBE+U.

Properties
total magnetic moment: 14.0 μB per cell

```
20
Lattice="-3.970 3.970 3.970 3.970 -3.970 3.970 3.970 3.970 -3.970" Properties=species:S:1:pos:R:3 pbc="T T T"
Sr 1.985 1.985 -1.985
Sr 1.985 -1.985 1.985
Sr -1.985 1.985 1.985
Sr 1.985 1.985 1.985
Fe 3.970 0.000 0.000
Fe 0.000 3.970 0.000
Fe 0.000 0.000 3.970
Mo 0.000 0.000 0.000
O 1.926 0.000 0.000
O 6.014 0.000 0.000
O 0.000 1.926 0.000
O 0.000 0.000 1.926
O 3.970 1.985 0.000
O 3.970 0.000 1.985
O 1.985 3.970 0.000
O 1.985 0.000 3.970
O 0.000 3.970 1.985
O 0.000 1.985 3.970
O 0.000 6.014 0.000
O 0.000 0.000 6.014
```

---

Which is most stable, and by how much? model w, by 0.7 kJ/mol of atoms.

---

Model w:
Here is a relaxed Na5Fe11O16 crystal from the Materials Project database. Energies are from PBE+U.

Properties
total magnetic moment: 49.0 μB per cell

```
32
Lattice="5.346 -3.065 0.000 5.346 3.065 0.000 -3.534 0.000 10.234" Properties=species:S:1:pos:R:3 pbc="T T T"
Na 0.000 0.000 0.000
Na 2.673 1.533 0.000
Na 0.906 1.533 5.117
Na 2.673 -1.533 0.000
Na 0.906 -1.533 5.117
Fe -1.767 0.000 5.117
Fe 4.454 1.544 2.570
Fe 2.704 1.544 7.664
Fe 1.782 0.000 2.581
Fe 0.043 0.000 7.666
Fe 5.346 0.000 0.000
Fe 3.579 0.000 5.117
Fe 7.114 0.000 2.568
Fe 5.376 0.000 7.653
Fe 4.454 -1.544 2.570
Fe 2.704 -1.544 7.664
O -0.037 0.000 3.702
O -1.720 0.000 8.702
O 2.750 1.556 3.849
O 0.968 1.440 8.829
O 4.408 1.556 6.386
O 3.597 0.000 1.423
O 1.905 0.000 6.489
O 6.190 1.440 1.405
O 0.968 -1.440 8.829
O 5.253 0.000 3.745
O 3.560 0.000 8.811
O 2.750 -1.556 3.849
O 6.190 -1.440 1.405
O 4.408 -1.556 6.386
O 8.878 0.000 1.532
O 7.194 0.000 6.532
```

---

Model x:
Here is a relaxed Na5Fe11O16 crystal from the Materials Project database. Energies are from PBE+U.

Properties
total magnetic moment: 49.0 μB per cell

```
32
Lattice="5.373 -3.098 0.000 5.373 3.098 0.000 -3.435 0.000 10.404" Properties=species:S:1:pos:R:3 pbc="T T T"
Na 0.000 0.000 0.000
Na 4.618 -1.560 10.363
Na 0.947 1.540 5.230
Na 4.618 1.560 10.363
Na 0.947 -1.540 5.230
Fe -1.728 0.000 5.240
Fe 4.483 1.559 2.603
Fe 1.799 0.000 2.599
Fe 2.792 1.566 7.807
Fe 0.114 0.000 7.766
Fe 1.913 0.000 10.346
Fe 3.624 0.000 5.237
Fe 7.174 0.000 2.616
Fe 4.483 -1.559 2.603
Fe 5.489 0.000 7.813
Fe 2.792 -1.566 7.807
O -0.033 0.000 3.683
O -1.696 0.000 8.844
O 2.810 1.642 3.819
O 1.140 1.482 8.966
O 4.426 1.528 6.542
O 3.639 0.000 1.513
O 2.001 0.000 6.622
O 6.218 1.423 1.504
O 5.306 0.000 3.757
O 3.654 0.000 8.905
O 1.140 -1.482 8.966
O 2.810 -1.642 3.819
O 6.218 -1.423 1.504
O 4.426 -1.528 6.542
O 8.933 0.000 1.555
O 7.304 0.000 6.684
```

---

Which is most stable, and by how much? model x, by 2.4 kJ/mol of atoms.